This record from the Materials Project describes an optimized crystal structure of Li8MnFe7B8O24. The functional is PBE+U.

a b c (Å): 5.2438 9.0422 10.3973
angles (deg): 89.01 89.25 89.66
With the nearest neighbours (Å) after each atom.
Space group P1 (No. 1)
Asymmetric unit:
Li 0.0000 0.0000 0.0000 x1  4 O 1.96-2.09
Li 0.0138 0.9932 0.5018 x1  4 O 1.96-2.08
Li 0.3273 0.3400 0.2531 x1  4 O 1.93-2.04
Li 0.3636 0.3266 0.7505 x1  4 O 1.91-2.07
Li 0.4990 0.4990 0.0023 x1  4 O 1.96-2.07
Li 0.5145 0.4907 0.5003 x1  4 O 1.95-2.07
Li 0.8273 0.8406 0.2519 x1  4 O 1.92-2.04
Li 0.8630 0.8298 0.7509 x1  4 O 1.92-2.08
Mn 0.3532 0.6662 0.7195 x1  5 O 2.08-2.32
Fe 0.0141 0.6646 0.4665 x1  4 O 2.01-2.24
Fe 0.0152 0.3294 0.9688 x1  4 O 2.00-2.22
Fe 0.3327 0.0079 0.2153 x1  3 O 2.00-2.09
Fe 0.5139 0.1594 0.4657 x1  5 O 2.04-2.28
Fe 0.5147 0.8296 0.9689 x1  4 O 2.00-2.23
Fe 0.8391 0.5082 0.2181 x1  4 O 2.03-2.24
Fe 0.8559 0.1705 0.7180 x1  4 O 2.03-2.26
B 0.0059 0.3332 0.4596 x1  3 O 1.38-1.41
B 0.0099 0.6637 0.9620 x1  3 O 1.38-1.40
B 0.3403 0.6677 0.2102 x1  3 O 1.38-1.40
B 0.3504 0.9992 0.7116 x1  3 O 1.39-1.40
B 0.5046 0.8326 0.4592 x1  3 O 1.38-1.41
B 0.5115 0.1643 0.9610 x1  3 O 1.38-1.40
B 0.8383 0.1690 0.2102 x1  3 O 1.39-1.40
B 0.8489 0.4960 0.7090 x1  3 O 1.38-1.40
O 0.0839 0.6787 0.2481 x1  1 B 1.40
O 0.0876 0.9870 0.6981 x1  1 B 1.39
O 0.2675 0.3413 0.4468 x1  1 B 1.38
O 0.2714 0.6530 0.9334 x1  1 B 1.40
O 0.3557 0.9585 0.4307 x1  1 B 1.41
O 0.3728 0.0404 0.0017 x1  1 B 1.40
O 0.3858 0.7012 0.4984 x1  1 B 1.40
O 0.3920 0.3006 0.9478 x1  1 B 1.38
O 0.4554 0.5305 0.1977 x1  1 B 1.38
O 0.4708 0.1321 0.6806 x1  1 B 1.39
O 0.4796 0.7961 0.1818 x1  1 B 1.40
O 0.4962 0.8776 0.7521 x1  1 B 1.40
O 0.5840 0.1786 0.2492 x1  1 B 1.39
O 0.5883 0.4819 0.6955 x1  1 B 1.38
O 0.7662 0.8393 0.4464 x1  1 B 1.38
O 0.7711 0.1526 0.9313 x1  1 B 1.40
O 0.8547 0.4575 0.4291 x1  1 B 1.41
O 0.8718 0.5401 0.9999 x1  1 B 1.38
O 0.8878 0.2023 0.5005 x1  1 B 1.40
O 0.8918 0.8012 0.9488 x1  1 B 1.39
O 0.9547 0.0307 0.1980 x1  1 B 1.40
O 0.9650 0.6316 0.6795 x1  1 B 1.40
O 0.9782 0.2954 0.1800 x1  1 B 1.39
O 0.9962 0.3752 0.7500 x1  1 B 1.40

**Energy of formation**: -227 kJ per mole of atoms
**Polymorph energy (0 for the lowest one)**: 1 meV per atom
**Crystal system**: triclinic

---

This record from the Materials Project describes an optimized crystal structure of Li2MnFeB2O6. The functional is PBE+U.

a b c (Å): 5.1662 6.1772 8.0504
angles (deg): 78.83 88.66 87.76
With the nearest neighbours (Å) after each atom.
Space group P1 (No. 1)
Asymmetric unit:
Li 0.0000 0.0000 0.0000 x1  4 O 1.96-2.04
Li 0.1660 0.9503 0.6958 x1  4 O 1.96-2.04
Li 0.4996 0.4996 0.4960 x1  4 O 1.94-2.04
Li 0.6664 0.4504 0.1995 x1  4 O 1.93-2.04
Mn 0.4874 0.2317 0.8527 x1  4 O 2.08-2.20
Mn 0.6784 0.7187 0.8429 x1  4 O 2.08-2.20
Fe 0.1727 0.2185 0.3357 x1  4 O 2.01-2.18
Fe 0.9919 0.7304 0.3600 x1  4 O 2.01-2.19
B 0.1817 0.5652 0.0185 x1  3 O 1.38-1.40
B 0.4867 0.8819 0.1805 x1  3 O 1.38-1.41
B 0.6788 0.0687 0.5150 x1  3 O 1.38-1.41
B 0.9844 0.3853 0.6772 x1  3 O 1.38-1.40
O 0.0386 0.4751 0.1629 x1  1 B 1.40
O 0.0752 0.7284 0.8946 x1  1 B 1.38
O 0.0907 0.2218 0.8011 x1  1 B 1.38
O 0.1279 0.4757 0.5332 x1  1 B 1.40
O 0.2253 0.9491 0.1973 x1  1 B 1.41
O 0.4398 0.4927 0.0037 x1  1 B 1.40
O 0.5400 0.9824 0.6618 x1  1 B 1.39
O 0.5658 0.2272 0.3910 x1  1 B 1.38
O 0.5999 0.7235 0.3045 x1  1 B 1.38
O 0.6257 0.9680 0.0336 x1  1 B 1.39
O 0.7262 0.4576 0.6918 x1  1 B 1.40
O 0.9402 0.0009 0.4984 x1  1 B 1.41

**Energy of formation**: -233 kJ per mole of atoms
**Polymorph energy (0 for the lowest one)**: 3 meV per atom
**Crystal system**: triclinic

---

This record from the Materials Project describes an optimized crystal structure of Li8Mn7FeB8O24. The functional is PBE+U.

a b c (Å): 6.0566 9.1636 9.7619
angles (deg): 81.97 78.33 76.38
With the nearest neighbours (Å) after each atom.
Space group P1 (No. 1)
Asymmetric unit:
Li 0.0000 0.0000 0.0000 x1  4 O 1.95-2.06
Li 0.0911 0.6315 0.2510 x1  4 O 1.96-2.04
Li 0.2492 0.5007 0.7483 x1  4 O 1.95-2.05
Li 0.3425 0.1301 0.0016 x1  4 O 1.96-2.05
Li 0.4985 0.0004 0.4982 x1  4 O 1.96-2.05
Li 0.5923 0.6324 0.7501 x1  4 O 1.96-2.05
Li 0.7486 0.5005 0.2488 x1  4 O 1.95-2.05
Li 0.8424 0.1312 0.5010 x1  4 O 1.94-2.05
Mn 0.1728 0.1896 0.7319 x1  4 O 2.09-2.21
Mn 0.4187 0.4420 0.0172 x1  4 O 2.08-2.21
Mn 0.4194 0.6919 0.4796 x1  4 O 2.09-2.20
Mn 0.6693 0.9423 0.7674 x1  4 O 2.09-2.21
Mn 0.6719 0.1888 0.2311 x1  4 O 2.08-2.20
Mn 0.9175 0.4426 0.5185 x1  4 O 2.08-2.21
Mn 0.9221 0.6900 0.9820 x1  4 O 2.09-2.21
Fe 0.1663 0.9456 0.2684 x1  4 O 2.02-2.20
B 0.1495 0.2773 0.2610 x1  3 O 1.38-1.40
B 0.1945 0.8526 0.7391 x1  3 O 1.38-1.40
B 0.3970 0.7786 0.0124 x1  3 O 1.38-1.40
B 0.4442 0.3531 0.4889 x1  3 O 1.39-1.40
B 0.6474 0.2792 0.7606 x1  3 O 1.38-1.40
B 0.6931 0.8535 0.2386 x1  3 O 1.39-1.40
B 0.8981 0.7807 0.5087 x1  3 O 1.39-1.40
B 0.9443 0.3524 0.9892 x1  3 O 1.39-1.40
O 0.0001 0.8807 0.8455 x1  1 B 1.40
O 0.0247 0.2094 0.9446 x1  1 B 1.39
O 0.0387 0.1596 0.3172 x1  1 B 1.39
O 0.0595 0.4680 0.9338 x1  1 B 1.39
O 0.0657 0.4199 0.3059 x1  1 B 1.38
O 0.0908 0.7548 0.4010 x1  1 B 1.40
O 0.2495 0.3805 0.5951 x1  1 B 1.40
O 0.2743 0.7101 0.6936 x1  1 B 1.38
O 0.2814 0.6627 0.0662 x1  1 B 1.39
O 0.3107 0.9679 0.6839 x1  1 B 1.39
O 0.3168 0.9202 0.0599 x1  1 B 1.38
O 0.3425 0.2510 0.1536 x1  1 B 1.40
O 0.4974 0.8825 0.3438 x1  1 B 1.40
O 0.5254 0.2103 0.4437 x1  1 B 1.39
O 0.5312 0.1639 0.8163 x1  1 B 1.39
O 0.5591 0.4690 0.4341 x1  1 B 1.39
O 0.5679 0.4223 0.8049 x1  1 B 1.38
O 0.5903 0.7523 0.9048 x1  1 B 1.40
O 0.7499 0.3801 0.0958 x1  1 B 1.40
O 0.7737 0.7099 0.1948 x1  1 B 1.39
O 0.7844 0.6646 0.5649 x1  1 B 1.39
O 0.8110 0.9679 0.1834 x1  1 B 1.39
O 0.8172 0.9231 0.5549 x1  1 B 1.39
O 0.8418 0.2508 0.6543 x1  1 B 1.40

**Energy of formation**: -240 kJ per mole of atoms
**Crystal system**: triclinic

---

This record from the Materials Project describes an optimized crystal structure of Li2MnFeB2O6. The functional is PBE+U.

a b c (Å): 5.2639 6.0378 8.9753
angles (deg): 102.45 90.93 113.82
With the nearest neighbours (Å) after each atom.
Space group P-1 (No. 2)
Asymmetric unit:
Li 0.0937 0.3245 0.4659 x2  4 O 1.95-2.05
Li 0.4026 0.6694 0.0327 x2  4 O 1.93-2.04
Mn 0.4582 0.7694 0.7085 x2  4 O 2.07-2.20
Fe 0.0501 0.2371 0.7914 x2  4 O 2.01-2.20
B 0.0550 0.2597 0.1315 x2  3 O 1.38-1.41
B 0.4399 0.7379 0.3655 x2  3 O 1.38-1.40
O 0.1190 0.1717 0.2535 x2  1 B 1.41
O 0.1714 0.6760 0.8654 x2  1 B 1.39
O 0.2235 0.2934 0.0146 x2  1 B 1.38
O 0.2745 0.7006 0.4835 x2  1 B 1.38
O 0.3250 0.3151 0.6371 x2  1 B 1.40
O 0.3684 0.8214 0.2438 x2  1 B 1.40

**Energy of formation**: -233 kJ per mole of atoms
**Polymorph energy (0 for the lowest one)**: 3 meV per atom
**Crystal system**: triclinic

---

Q: Which of these has the highest energy of formation?
A: Li8MnFe7B8O24

---

Q: Among the records above, which one has the highest energy of formation?
A: Li8MnFe7B8O24

---

Q: What is the formula in the second record?
A: Li2MnFeB2O6